# CsLiSO4 PBE relaxed
data_CsLiSO4
_cell_length_a 8.911
_cell_length_b 5.522
_cell_length_c 9.725
_cell_angle_alpha 90.00
_cell_angle_beta 90.00
_cell_angle_gamma 90.00
_symmetry_space_group_name_H-M 'P n m a'
_symmetry_Int_Tables_number 62
loop_
_symmetry_equiv_pos_as_xyz
'x,y,z'
'-x,-y,-z'
'-x+1/2,-y,z+1/2'
'x+1/2,y,-z+1/2'
'x+1/2,-y+1/2,-z+1/2'
'-x+1/2,y+1/2,z+1/2'
'-x,y+1/2,-z'
'x,-y+1/2,z'
loop_
_atom_site_label
_atom_site_fract_x
_atom_site_fract_y
_atom_site_fract_z
Cs1 0.003 0.250 0.210
Li1 0.175 0.750 0.418
S1 0.209 0.250 0.583
O1 0.042 0.250 0.585
O2 0.233 0.750 0.226
O3 0.235 0.530 0.010
# Calculated formation energy: -2300 meV per atom
# Relative energy among the computed polymorphs: 0.003 eV per atom

***

# Cs4Li2Si6O15 PBE relaxed
data_Cs4Li2Si6O15
_cell_length_a 11.129
_cell_length_b 8.638
_cell_length_c 19.283
_cell_angle_alpha 90.00
_cell_angle_beta 90.19
_cell_angle_gamma 90.00
_symmetry_space_group_name_H-M 'P 1 21/m 1'
_symmetry_Int_Tables_number 11
loop_
_symmetry_equiv_pos_as_xyz
'x,y,z'
'-x,-y,-z'
'-x,y+1/2,-z'
'x,-y+1/2,z'
loop_
_atom_site_label
_atom_site_fract_x
_atom_site_fract_y
_atom_site_fract_z
Cs1 0.020 0.250 0.008
Cs2 0.045 0.750 0.514
Cs3 0.205 0.250 0.223
Cs4 0.222 0.750 0.721
Cs5 0.277 0.750 0.228
Cs6 0.296 0.250 0.733
Cs7 0.457 0.250 0.981
Cs8 0.467 0.750 0.482
Li1 0.240 0.512 0.072
Li2 0.262 0.019 0.579
Si1 0.005 0.565 0.335
Si2 0.015 0.064 0.830
Si3 0.244 0.061 0.412
Si4 0.250 0.561 0.904
Si5 0.483 0.060 0.329
Si6 0.495 0.060 0.165
O1 0.017 0.518 0.252
O2 0.046 0.750 0.342
O3 0.052 0.250 0.831
O4 0.094 0.519 0.121
O5 0.113 0.037 0.372
O6 0.123 0.026 0.633
O7 0.141 0.531 0.846
O8 0.231 0.023 0.976
O9 0.254 0.527 0.484
O10 0.259 0.250 0.421
O11 0.262 0.750 0.911
O12 0.347 0.006 0.354
O13 0.373 0.001 0.863
O14 0.386 0.505 0.121
O15 0.411 0.009 0.626
O16 0.483 0.250 0.325
O17 0.490 0.502 0.247
O18 0.500 0.250 0.169
# Calculated formation energy: -2948 meV per atom

***

Number 1: energy with MP2020 corrections -42.832 eV per formula unit. Number 2: energy with MP2020 corrections -193.773 eV per formula unit.